Nb10Al3Si3 PBE optimized geometry; formation energy from the elements = -427.8 meV per atom; symmetry = No. 42; calculated volume = 269.6 Å³/cell
1.0
0.000 7.219 7.239
2.579 0.000 7.239
2.579 7.219 0.000
Nb Al Si
10 3 3
Cartesian
2.579 1.448 7.239 Nb
2.579 5.774 5.061 Nb
2.579 4.668 8.314 Nb
3.876 7.219 9.721 Nb
2.579 8.665 5.061 Nb
2.579 4.628 11.163 Nb
2.579 9.771 8.314 Nb
2.579 12.991 7.239 Nb
1.283 7.219 9.721 Nb
2.579 9.811 11.163 Nb
1.290 3.610 6.127 Al
2.579 7.219 12.139 Al
3.869 10.829 13.367 Al
2.579 4.860 2.516 Si
2.579 9.579 2.516 Si
2.579 7.219 7.355 Si

=====

MgSi2 PBE optimized geometry; formation energy from the elements = 154.2 meV per atom; symmetry = No. 2; excess energy over the best structure of this formula in the dataset = 0.077 eV/atom; calculated volume = 460.9 Å³/cell
1.0
6.687 0.000 0.000
0.929 7.210 0.000
0.318 1.114 9.559
Mg Si
8 16
Cartesian
0.387 1.554 3.461 Mg
1.835 6.055 1.690 Mg
2.559 4.118 6.867 Mg
3.622 6.363 4.624 Mg
4.312 1.961 4.935 Mg
5.374 4.206 2.692 Mg
6.098 2.269 7.869 Mg
7.546 6.770 6.098 Mg
1.314 4.896 4.131 Si
1.874 6.238 8.594 Si
1.589 1.538 0.281 Si
1.718 1.723 5.874 Si
2.149 1.039 8.113 Si
2.719 3.610 0.465 Si
2.781 3.350 2.904 Si
2.736 0.793 2.284 Si
5.197 7.531 7.275 Si
5.153 4.974 6.655 Si
5.215 4.714 9.094 Si
5.784 7.285 1.446 Si
6.216 6.601 3.685 Si
6.344 6.785 9.278 Si
6.059 2.086 0.965 Si
6.619 3.428 5.428 Si

=====

BaHfMg14O16 PBE optimized geometry; formation energy from the elements = -2763.1 meV per atom; symmetry = No. 123; calculated volume = 356.9 Å³/cell
1.0
8.850 0.000 0.000
0.000 8.850 0.000
0.000 0.000 4.557
Ba Hf Mg O
1 1 14 16
Cartesian
0.000 0.000 0.000 Ba
4.425 4.425 0.000 Hf
0.000 2.329 2.279 Mg
0.000 4.425 0.000 Mg
0.000 6.521 2.279 Mg
2.157 4.425 2.279 Mg
2.227 2.227 0.000 Mg
2.227 6.623 0.000 Mg
2.329 0.000 2.279 Mg
4.425 0.000 0.000 Mg
4.425 2.157 2.279 Mg
4.425 6.693 2.279 Mg
6.521 0.000 2.279 Mg
6.623 2.227 0.000 Mg
6.623 6.623 0.000 Mg
6.693 4.425 2.279 Mg
0.000 0.000 2.279 O
0.000 2.487 0.000 O
0.000 4.425 2.279 O
0.000 6.362 0.000 O
2.205 2.205 2.279 O
2.205 6.645 2.279 O
2.255 4.425 0.000 O
2.487 0.000 0.000 O
4.425 0.000 2.279 O
4.425 2.255 0.000 O
4.425 4.425 2.279 O
4.425 6.595 0.000 O
6.362 0.000 0.000 O
6.595 4.425 0.000 O
6.645 2.205 2.279 O
6.645 6.645 2.279 O

=====

LaH3CSO7 PBE optimized geometry; formation energy from the elements = -2046.4 meV per atom; symmetry = No. 78; calculated volume = 606.1 Å³/cell
1.0
7.108 0.000 0.000
0.000 7.108 0.000
0.000 0.000 11.997
La H C S O
4 12 4 4 28
Cartesian
0.759 4.546 0.000 La
2.562 0.759 8.998 La
4.546 6.348 2.999 La
6.348 2.562 5.998 La
0.231 1.167 0.538 H
1.167 6.877 3.537 H
1.255 2.897 2.703 H
2.690 3.280 2.186 H
2.897 5.852 5.702 H
3.280 4.417 5.185 H
3.827 2.690 11.183 H
4.211 1.255 11.700 H
4.417 3.827 8.184 H
5.852 4.211 8.701 H
5.941 0.231 9.535 H
6.877 5.941 6.536 H
0.739 1.095 11.560 C
1.095 6.368 2.562 C
6.013 0.739 8.560 C
6.368 6.013 5.561 C
1.754 4.354 8.331 S
2.753 1.754 5.332 S
4.354 5.354 11.330 S
5.354 2.753 2.332 S
0.055 1.035 8.096 O
0.868 3.854 7.256 O
0.943 4.712 9.524 O
1.010 2.168 10.934 O
1.035 7.052 11.095 O
1.539 2.459 4.848 O
1.753 3.153 1.899 O
2.168 6.098 1.937 O
2.396 0.943 6.525 O
2.459 5.569 7.848 O
2.744 3.283 8.675 O
3.153 5.354 4.898 O
3.253 0.868 4.257 O
3.283 4.364 11.674 O
3.825 2.744 5.676 O
3.854 6.240 10.255 O
3.954 1.753 10.897 O
4.364 3.825 2.676 O
4.649 1.539 1.849 O
4.712 6.165 0.527 O
4.939 1.010 7.935 O
5.354 3.954 7.897 O
5.569 4.649 10.847 O
6.072 0.055 5.096 O
6.098 4.939 4.936 O
6.165 2.396 3.526 O
6.240 3.253 1.258 O
7.052 6.072 2.097 O

=====

DyB4W PBE optimized geometry; formation energy from the elements = -596.4 meV per atom; symmetry = No. 55; calculated volume = 255.6 Å³/cell
1.0
6.037 0.000 0.000
0.000 11.676 0.000
0.000 0.000 3.626
Dy B W
4 16 4
Cartesian
0.765 1.749 0.000 Dy
2.254 7.587 0.000 Dy
3.783 4.089 0.000 Dy
5.272 9.927 0.000 Dy
0.148 8.092 1.813 B
0.690 6.388 1.813 B
0.805 11.299 1.813 B
1.291 9.498 1.813 B
1.728 3.660 1.813 B
2.213 5.461 1.813 B
2.328 0.550 1.813 B
2.871 2.254 1.813 B
3.166 9.422 1.813 B
3.709 11.126 1.813 B
3.823 6.215 1.813 B
4.309 8.016 1.813 B
4.746 2.178 1.813 B
5.232 0.377 1.813 B
5.346 5.288 1.813 B
5.889 3.584 1.813 B
0.789 4.852 0.000 W
2.229 10.690 0.000 W
3.807 0.986 0.000 W
5.248 6.824 0.000 W

=====

FeB2 PBE optimized geometry; formation energy from the elements = -51.5 meV per atom; symmetry = No. 191; calculated volume = 21.8 Å³/cell
1.0
3.019 0.000 0.000
-1.510 2.615 0.000
0.000 0.000 2.764
Fe B
1 2
Cartesian
0.000 0.000 0.000 Fe
0.000 1.743 1.382 B
1.510 0.872 1.382 B

=====

- Which value of calculated volume does entry 6 give?
  21.8 Å³/cell